[1]
DFT (GGA-PBE) results for a relaxed structure of K3SmF6.

Cell: 6.759 6.759 6.759 Å, 60.00 60.00 60.00°
Atoms (fractional coordinates):
K 0.250 0.250 0.250
K 0.500 0.500 0.500
K 0.750 0.750 0.750
F 0.235 0.765 0.235
F 0.765 0.235 0.235
F 0.765 0.765 0.235
F 0.235 0.765 0.765
F 0.235 0.235 0.765
F 0.765 0.235 0.765
Sm 0.000 0.000 0.000

Results
E_form = -3484 meV per atom
Space-group type = Fm-3m, No. 225

---

[2]
DFT (GGA-PBE) results for a relaxed structure of K3Ta4F15.

Cell: 4.135 18.596 19.976 Å, 90.00 90.00 90.00°
Atoms (fractional coordinates):
Ta 0.000 0.495 0.705
Ta 0.000 0.017 0.840
Ta 0.000 0.369 0.660
Ta 0.500 0.631 0.160
Ta 0.500 0.505 0.205
Ta 0.000 0.854 0.874
Ta 0.000 0.965 0.990
Ta 0.500 0.244 0.183
Ta 0.500 0.146 0.374
Ta 0.500 0.758 0.369
Ta 0.500 0.983 0.340
Ta 0.000 0.242 0.869
Ta 0.000 0.756 0.683
Ta 0.500 0.035 0.490
Ta 0.000 0.464 0.550
Ta 0.500 0.536 0.050
F 0.500 0.029 0.828
F 0.000 0.161 0.367
F 0.000 0.427 0.454
F 0.500 0.944 0.552
F 0.000 0.056 0.052
F 0.000 0.529 0.807
F 0.500 0.601 0.267
F 0.500 0.740 0.275
F 0.500 0.275 0.087
F 0.500 0.208 0.281
F 0.000 0.749 0.900
F 0.000 0.211 0.966
F 0.000 0.343 0.902
F 0.500 0.471 0.307
F 0.000 0.925 0.084
F 0.500 0.507 0.720
F 0.000 0.725 0.587
F 0.500 0.339 0.225
F 0.500 0.749 0.150
F 0.000 0.040 0.739
F 0.000 0.661 0.725
F 0.500 0.789 0.466
F 0.500 0.960 0.239
F 0.000 0.758 0.370
F 0.500 0.941 0.434
F 0.000 0.919 0.790
F 0.500 0.865 0.338
F 0.500 0.573 0.954
F 0.500 0.251 0.400
F 0.500 0.471 0.541
F 0.000 0.557 0.621
F 0.500 0.075 0.584
F 0.500 0.081 0.290
F 0.500 0.657 0.402
F 0.000 0.971 0.328
F 0.000 0.792 0.781
F 0.000 0.260 0.775
F 0.000 0.399 0.767
F 0.000 0.353 0.558
F 0.500 0.145 0.477
F 0.000 0.562 0.498
F 0.000 0.652 0.171
F 0.000 0.059 0.934
F 0.500 0.647 0.058
F 0.000 0.493 0.220
F 0.000 0.855 0.977
F 0.000 0.244 0.180
F 0.500 0.438 0.998
F 0.000 0.861 0.654
F 0.000 0.529 0.041
F 0.500 0.348 0.671
F 0.500 0.242 0.870
F 0.000 0.027 0.500
F 0.500 0.839 0.867
F 0.000 0.251 0.650
F 0.000 0.135 0.838
F 0.500 0.139 0.154
F 0.500 0.756 0.680
F 0.500 0.973 0.000
F 0.500 0.443 0.121
K 0.500 0.452 0.863
K 0.500 0.964 0.678
K 0.500 0.660 0.854
K 0.500 0.140 0.017
K 0.000 0.036 0.178
K 0.000 0.548 0.363
K 0.500 0.643 0.537
K 0.000 0.340 0.354
K 0.000 0.357 0.037
K 0.000 0.821 0.174
K 0.500 0.179 0.674
K 0.000 0.860 0.517

Results
E_form = -2991 meV per atom
ΔE to the lowest computed polymorph = 0 meV per atom
Space-group type = Pmn2_1, No. 31

---

[3]
DFT (GGA-PBE) results for a relaxed structure of K3Ta4F15.

Cell: 4.172 19.036 20.828 Å, 90.00 90.00 90.00°
Atoms (fractional coordinates):
K 0.500 0.936 0.687
K 0.500 0.658 0.849
K 0.500 0.146 0.018
K 0.500 0.148 0.696
K 0.000 0.342 0.349
K 0.000 0.548 0.362
K 0.000 0.852 0.196
K 0.500 0.654 0.529
K 0.000 0.064 0.187
K 0.000 0.346 0.029
K 0.500 0.452 0.862
K 0.000 0.854 0.518
F 0.500 0.271 0.398
F 0.000 0.531 0.035
F 0.000 0.145 0.853
F 0.500 0.254 0.872
F 0.000 0.460 0.222
F 0.500 0.935 0.560
F 0.000 0.545 0.818
F 0.000 0.848 0.648
F 0.000 0.776 0.776
F 0.500 0.074 0.597
F 0.000 0.564 0.490
F 0.500 0.224 0.276
F 0.500 0.744 0.679
F 0.500 0.779 0.465
F 0.500 0.271 0.079
F 0.500 0.779 0.160
F 0.500 0.111 0.447
F 0.500 0.977 0.228
F 0.500 0.436 0.990
F 0.500 0.963 0.429
F 0.500 0.074 0.315
F 0.000 0.221 0.965
F 0.000 0.926 0.815
F 0.500 0.036 0.827
F 0.000 0.964 0.327
F 0.000 0.430 0.712
F 0.500 0.455 0.318
F 0.000 0.729 0.579
F 0.500 0.576 0.945
F 0.000 0.221 0.660
F 0.500 0.540 0.722
F 0.500 0.975 0.008
F 0.000 0.065 0.060
F 0.500 0.828 0.863
F 0.000 0.285 0.774
F 0.000 0.926 0.097
F 0.000 0.037 0.929
F 0.000 0.523 0.619
F 0.000 0.377 0.590
F 0.500 0.469 0.535
F 0.000 0.172 0.363
F 0.000 0.361 0.888
F 0.000 0.256 0.179
F 0.000 0.746 0.372
F 0.000 0.025 0.508
F 0.000 0.023 0.728
F 0.000 0.676 0.181
F 0.500 0.324 0.681
F 0.500 0.623 0.090
F 0.500 0.349 0.235
F 0.500 0.477 0.119
F 0.000 0.651 0.735
F 0.000 0.729 0.898
F 0.500 0.570 0.212
F 0.500 0.855 0.353
F 0.500 0.152 0.148
F 0.500 0.715 0.274
F 0.000 0.424 0.445
F 0.000 0.889 0.947
F 0.500 0.639 0.388
Ta 0.500 0.962 0.326
Ta 0.000 0.973 0.011
Ta 0.000 0.541 0.718
Ta 0.500 0.027 0.511
Ta 0.000 0.254 0.872
Ta 0.000 0.467 0.533
Ta 0.500 0.674 0.180
Ta 0.500 0.533 0.033
Ta 0.000 0.326 0.680
Ta 0.000 0.038 0.826
Ta 0.500 0.256 0.177
Ta 0.500 0.171 0.364
Ta 0.000 0.744 0.677
Ta 0.000 0.829 0.864
Ta 0.500 0.746 0.372
Ta 0.500 0.459 0.218

Results
E_form = -2861 meV per atom
ΔE to the lowest computed polymorph = 130 meV per atom
Space-group type = Pmn2_1, No. 31

---

What is the E_form in the third record? -2861 meV per atom

---

E_form of number 2 (K3Ta4F15)? -2991 meV per atom

---

Among the records above, which one has the lowest E_form? K3SmF6

---

E_form of number 3 (K3Ta4F15)? -2861 meV per atom